Compound: MgFe4Ni2O8
Source: the Materials Project
Functional: GGA+U
Structure: optimized geometry

spin magnetization: 12.00 μB/cell
calculated volume: 10.8 Å³/atom

a = 5.934 Å, b = 6.332 Å, c = 5.938 Å
α = 62.02°, β = 59.93°, γ = 62.05°
Positions (direct):
Mg (0.125, 0.625, 0.125)
Fe (0.971, 0.098, 0.964)
Fe (0.279, 0.152, 0.286)
Fe (0.625, 0.125, 0.625)
Fe (0.625, 0.625, 0.625)
Ni (0.125, 0.625, 0.625)
Ni (0.625, 0.625, 0.125)
O (0.385, 0.369, 0.385)
O (0.382, 0.382, 0.870)
O (0.403, 0.798, 0.402)
O (0.871, 0.381, 0.381)
O (0.379, 0.869, 0.869)
O (0.847, 0.452, 0.848)
O (0.868, 0.868, 0.380)
O (0.865, 0.881, 0.865)

=====

Compound: Mg6FeNiO8
Source: the Materials Project
Functional: GGA+U
Structure: optimized geometry

spin magnetization: 6.00 μB/cell
calculated volume: 9.7 Å³/atom

a = 4.252 Å, b = 4.252 Å, c = 8.590 Å
α = 90.00°, β = 90.00°, γ = 90.00°
Positions (direct):
Mg (0.500, 0.500, 0.000)
Mg (0.500, 0.500, 0.500)
Mg (0.000, 0.500, 0.252)
Mg (0.000, 0.500, 0.748)
Mg (0.500, 0.000, 0.252)
Mg (0.500, 0.000, 0.748)
Fe (0.000, 0.000, 0.000)
Ni (0.000, 0.000, 0.500)
O (0.000, 0.000, 0.256)
O (0.000, 0.000, 0.744)
O (0.500, 0.500, 0.248)
O (0.500, 0.500, 0.752)
O (0.000, 0.500, 0.000)
O (0.000, 0.500, 0.500)
O (0.500, 0.000, 0.000)
O (0.500, 0.000, 0.500)

=====

Number 1: MP2020-corrected energy -7.270 eV per atom, excess energy over the best structure of this formula in the dataset 0.00 kJ/mol of atoms. Number 2: MP2020-corrected energy -6.527 eV per atom, excess energy over the best structure of this formula in the dataset 0.00 kJ/mol of atoms.